Entry 1:
# TiO2

A relaxed structure of TiO2 (r2SCAN, Materials Project).

a b c (Å): 5.470 5.470 5.470
angles (deg): 114.49 107.02 107.02
Atoms (fractional coordinates):
Ti1 0.500 0.750 0.750
Ti2 0.500 0.250 0.250
Ti3 0.000 0.000 0.500
Ti4 0.000 0.500 0.000
O1 0.304 0.305 0.500
O2 0.195 0.250 0.946
O3 0.304 0.804 0.000
O4 0.804 0.250 0.554
O5 0.196 0.750 0.446
O6 0.805 0.750 0.054
O7 0.696 0.196 0.000
O8 0.696 0.695 0.500

## Properties
The value obtained for the formation energy is -3.30 eV per atom. The total energy comes out at -11.5988 eV/atom. The total moment is 0.00 μB per formula unit.

***

Entry 2:
# TiO2

A relaxed structure of TiO2 (r2SCAN, Materials Project).

a b c (Å): 5.582 5.582 6.082
angles (deg): 90.00 90.00 120.00
Atoms (fractional coordinates):
Ti1 0.000 0.467 0.167
Ti2 0.467 0.000 0.833
Ti3 0.533 0.533 0.500
O1 0.149 0.730 0.954
O2 0.270 0.419 0.287
O3 0.419 0.270 0.713
O4 0.581 0.851 0.621
O5 0.730 0.149 0.046
O6 0.851 0.581 0.379

## Properties
The value obtained for the formation energy is -3.16 eV per atom. As for the symmetry: P3_121, No. 152. The total energy comes out at -11.4587 eV/atom. The total moment is 0.00 μB per formula unit.

***

Entry 3:
# TiO2

A relaxed structure of TiO2 (r2SCAN, Materials Project).

a b c (Å): 4.813 4.872 5.041
angles (deg): 90.00 99.86 90.00
Atoms (fractional coordinates):
Ti1 0.223 0.053 0.287
Ti2 0.223 0.447 0.787
Ti3 0.777 0.553 0.213
Ti4 0.777 0.947 0.713
O1 0.055 0.742 0.533
O2 0.055 0.758 0.033
O3 0.436 0.177 0.648
O4 0.436 0.323 0.148
O5 0.564 0.677 0.852
O6 0.564 0.823 0.352
O7 0.945 0.242 0.967
O8 0.945 0.258 0.467

## Properties
The value obtained for the formation energy is -3.27 eV per atom. As for the symmetry: P2_1/c, No. 14. The total energy comes out at -11.5689 eV/atom. The total moment is 0.00 μB per formula unit.

***

Entry 4:
# Ti2O3

A relaxed structure of Ti2O3 (r2SCAN, Materials Project).

a b c (Å): 5.156 3.015 7.231
angles (deg): 90.00 101.75 90.00
Atoms (fractional coordinates):
Ti1 0.159 0.250 0.160
Ti2 0.268 0.250 0.524
Ti3 0.732 0.750 0.476
Ti4 0.841 0.750 0.840
O1 0.059 0.750 0.348
O2 0.211 0.750 0.005
O3 0.483 0.750 0.667
O4 0.517 0.250 0.333
O5 0.789 0.250 0.995
O6 0.941 0.250 0.652

## Properties
The value obtained for the formation energy is -3.04 eV per atom. As for the symmetry: P2_1/m, No. 11. The total energy comes out at -11.7970 eV/atom. The total moment is 0.00 μB per formula unit.

***

Entry 5:
# TiO2

A relaxed structure of TiO2 (r2SCAN, Materials Project).

a b c (Å): 8.883 2.968 10.665
angles (deg): 90.00 90.00 90.00
Atoms (fractional coordinates):
Ti1 0.051 0.250 0.118
Ti2 0.089 0.250 0.600
Ti3 0.411 0.750 0.100
Ti4 0.449 0.750 0.618
Ti5 0.551 0.250 0.382
Ti6 0.589 0.250 0.900
Ti7 0.911 0.750 0.400
Ti8 0.949 0.750 0.882
O1 0.027 0.750 0.715
O2 0.076 0.250 0.928
O3 0.113 0.750 0.487
O4 0.200 0.750 0.140
O5 0.300 0.250 0.640
O6 0.387 0.250 0.987
O7 0.424 0.750 0.428
O8 0.473 0.250 0.215
O9 0.527 0.750 0.785
O10 0.576 0.250 0.572
O11 0.613 0.750 0.013
O12 0.700 0.750 0.360
O13 0.800 0.250 0.860
O14 0.887 0.250 0.513
O15 0.924 0.750 0.072
O16 0.973 0.250 0.285

## Properties
The value obtained for the formation energy is -3.24 eV per atom. As for the symmetry: Pnma, No. 62. The total energy comes out at -11.5339 eV/atom. The total moment is 0.00 μB per formula unit.

***

Entry 6:
# TiO

A relaxed structure of TiO (r2SCAN, Materials Project).

a b c (Å): 4.989 4.989 2.873
angles (deg): 90.00 90.00 120.00
Atoms (fractional coordinates):
Ti1 0.000 0.000 0.000
Ti2 0.333 0.667 0.500
Ti3 0.667 0.333 0.500
O1 0.000 0.394 0.000
O2 0.394 0.000 0.000
O3 0.606 0.606 0.000

## Properties
The value obtained for the formation energy is -2.79 eV per atom. As for the symmetry: P-62m, No. 189. The total energy comes out at -12.2489 eV/atom. The total moment is 0.00 μB per formula unit.

***

Entry 7:
# Ti2O3

A relaxed structure of Ti2O3 (r2SCAN, Materials Project).

a b c (Å): 5.151 5.151 9.477
angles (deg): 90.00 90.00 120.00
Atoms (fractional coordinates):
Ti1 0.000 0.000 0.000
Ti2 0.000 0.000 0.500
Ti3 0.333 0.667 0.025
Ti4 0.333 0.667 0.475
Ti5 0.333 0.667 0.750
Ti6 0.667 0.333 0.250
Ti7 0.667 0.333 0.525
Ti8 0.667 0.333 0.975
O1 0.026 0.351 0.883
O2 0.026 0.674 0.617
O3 0.326 0.351 0.617
O4 0.326 0.974 0.883
O5 0.351 0.026 0.383
O6 0.351 0.326 0.117
O7 0.649 0.674 0.883
O8 0.649 0.974 0.617
O9 0.674 0.026 0.117
O10 0.674 0.649 0.383
O11 0.974 0.326 0.383
O12 0.974 0.649 0.117

## Properties
The value obtained for the formation energy is -3.07 eV per atom. As for the symmetry: P-31c, No. 163. The total energy comes out at -11.8297 eV/atom. The total moment is 1.00 μB per formula unit.

***

Entry 8:
# Ti4O5

A relaxed structure of Ti4O5 (r2SCAN, Materials Project).

a b c (Å): 5.115 5.115 5.115
angles (deg): 99.47 99.47 132.13
Atoms (fractional coordinates):
Ti1 0.109 0.717 0.825
Ti2 0.283 0.109 0.392
Ti3 0.717 0.891 0.608
Ti4 0.891 0.283 0.175
O1 0.000 0.000 0.000
O2 0.189 0.409 0.598
O3 0.409 0.811 0.220
O4 0.591 0.189 0.780
O5 0.811 0.591 0.402

## Properties
The value obtained for the formation energy is -2.94 eV per atom. As for the symmetry: I4/m, No. 87. The total energy comes out at -12.0068 eV/atom. The total moment is 0.00 μB per formula unit.

***

Entry 9:
# TiO2

A relaxed structure of TiO2 (r2SCAN, Materials Project).

a b c (Å): 4.544 5.518 14.896
angles (deg): 90.00 90.00 90.00
Atoms (fractional coordinates):
Ti1 0.000 0.040 0.250
Ti2 0.000 0.358 0.084
Ti3 0.000 0.358 0.416
Ti4 0.000 0.642 0.584
Ti5 0.000 0.642 0.916
Ti6 0.000 0.960 0.750
Ti7 0.500 0.142 0.584
Ti8 0.500 0.142 0.916
Ti9 0.500 0.460 0.750
Ti10 0.500 0.540 0.250
Ti11 0.500 0.858 0.084
Ti12 0.500 0.858 0.416
O1 0.209 0.370 0.530
O2 0.209 0.630 0.030
O3 0.215 0.088 0.363
O4 0.215 0.912 0.863
O5 0.226 0.334 0.196
O6 0.226 0.666 0.696
O7 0.274 0.166 0.696
O8 0.274 0.834 0.196
O9 0.285 0.412 0.863
O10 0.285 0.588 0.363
O11 0.291 0.130 0.030
O12 0.291 0.870 0.530
O13 0.709 0.130 0.470
O14 0.709 0.870 0.970
O15 0.715 0.412 0.637
O16 0.715 0.588 0.137
O17 0.726 0.166 0.804
O18 0.726 0.834 0.304
O19 0.774 0.334 0.304
O20 0.774 0.666 0.804
O21 0.785 0.088 0.137
O22 0.785 0.912 0.637
O23 0.791 0.370 0.970
O24 0.791 0.630 0.470

## Properties
The value obtained for the formation energy is -3.30 eV per atom. As for the symmetry: Pbcn, No. 60. The total energy comes out at -11.5961 eV/atom. The total moment is 0.00 μB per formula unit.

***

Entry 10:
# Ti13O22

A relaxed structure of Ti13O22 (r2SCAN, Materials Project).

a b c (Å): 7.655 7.655 13.950
angles (deg): 90.00 90.00 82.65
Atoms (fractional coordinates):
Ti1 0.000 0.000 0.000
Ti2 0.052 0.427 0.150
Ti3 0.061 0.196 0.817
Ti4 0.073 0.448 0.350
Ti5 0.164 0.836 0.656
Ti6 0.196 0.061 0.183
Ti7 0.233 0.233 0.500
Ti8 0.267 0.267 0.000
Ti9 0.304 0.439 0.683
Ti10 0.336 0.664 0.156
Ti11 0.427 0.052 0.850
Ti12 0.439 0.304 0.317
Ti13 0.448 0.073 0.650
Ti14 0.500 0.500 0.500
Ti15 0.552 0.927 0.350
Ti16 0.561 0.696 0.683
Ti17 0.573 0.948 0.150
Ti18 0.664 0.336 0.844
Ti19 0.696 0.561 0.317
Ti20 0.733 0.733 0.000
Ti21 0.767 0.767 0.500
Ti22 0.804 0.939 0.817
Ti23 0.836 0.164 0.344
Ti24 0.927 0.552 0.650
Ti25 0.939 0.804 0.183
Ti26 0.948 0.573 0.850
O1 0.015 0.985 0.748
O2 0.023 0.228 0.419
O3 0.044 0.210 0.080
O4 0.103 0.390 0.907
O5 0.110 0.397 0.593
O6 0.112 0.624 0.242
O7 0.124 0.612 0.742
O8 0.149 0.851 0.100
O9 0.210 0.044 0.920
O10 0.216 0.284 0.250
O11 0.228 0.023 0.581
O12 0.272 0.477 0.081
O13 0.284 0.216 0.750
O14 0.290 0.456 0.420
O15 0.351 0.649 0.600
O16 0.376 0.888 0.242
O17 0.388 0.876 0.742
O18 0.390 0.103 0.093
O19 0.397 0.110 0.407
O20 0.456 0.290 0.580
O21 0.477 0.272 0.919
O22 0.485 0.515 0.248
O23 0.515 0.485 0.752
O24 0.523 0.728 0.081
O25 0.544 0.710 0.420
O26 0.603 0.890 0.593
O27 0.610 0.897 0.907
O28 0.612 0.124 0.258
O29 0.624 0.112 0.758
O30 0.649 0.351 0.400
O31 0.710 0.544 0.580
O32 0.716 0.784 0.250
O33 0.728 0.523 0.919
O34 0.772 0.977 0.419
O35 0.784 0.716 0.750
O36 0.790 0.956 0.080
O37 0.851 0.149 0.900
O38 0.876 0.388 0.258
O39 0.888 0.376 0.758
O40 0.890 0.603 0.407
O41 0.897 0.610 0.093
O42 0.956 0.790 0.920
O43 0.977 0.772 0.581
O44 0.985 0.015 0.252

## Properties
The value obtained for the formation energy is -3.20 eV per atom. As for the symmetry: Cmce, No. 64. The total energy comes out at -11.7635 eV/atom. The total moment is 0.00 μB per formula unit.

***

Entry 11:
# Ti4Tl2O9

A relaxed structure of Ti4Tl2O9 (r2SCAN, Materials Project).

a b c (Å): 9.771 9.771 12.094
angles (deg): 106.38 106.38 22.27
Atoms (fractional coordinates):
Ti1 0.128 0.128 0.362
Ti2 0.165 0.165 0.123
Ti3 0.204 0.204 0.897
Ti4 0.246 0.246 0.667
Ti5 0.754 0.754 0.333
Ti6 0.796 0.796 0.103
Ti7 0.835 0.835 0.877
Ti8 0.872 0.872 0.638
Tl1 0.417 0.417 0.413
Tl2 0.487 0.487 0.178
Tl3 0.513 0.513 0.822
Tl4 0.583 0.583 0.587
O1 0.041 0.041 0.377
O2 0.089 0.089 0.182
O3 0.127 0.127 0.962
O4 0.165 0.165 0.742
O5 0.185 0.185 0.527
O6 0.232 0.232 0.299
O7 0.269 0.269 0.078
O8 0.306 0.306 0.858
O9 0.345 0.345 0.644
O10 0.655 0.655 0.356
O11 0.694 0.694 0.142
O12 0.731 0.731 0.922
O13 0.768 0.768 0.701
O14 0.815 0.815 0.473
O15 0.835 0.835 0.258
O16 0.873 0.873 0.038
O17 0.911 0.911 0.818
O18 0.959 0.959 0.623

## Properties
The value obtained for the formation energy is -2.82 eV per atom. As for the symmetry: C2/m, No. 12. The total energy comes out at -16.9487 eV/atom. The total moment is 0.00 μB per formula unit.

***

Entry 12:
# UTi2O6

A relaxed structure of UTi2O6 (r2SCAN, Materials Project).

a b c (Å): 5.286 5.286 6.897
angles (deg): 116.93 116.93 41.95
Atoms (fractional coordinates):
U1 0.000 0.000 0.000
Ti1 0.178 0.178 0.610
Ti2 0.822 0.822 0.390
O1 0.024 0.024 0.694
O2 0.280 0.280 0.405
O3 0.349 0.349 0.896
O4 0.651 0.651 0.104
O5 0.720 0.720 0.595
O6 0.976 0.976 0.306

## Properties
The value obtained for the formation energy is -3.47 eV per atom. As for the symmetry: C2/m, No. 12. The total energy comes out at -19.2063 eV/atom. The total moment is 2.00 μB per formula unit.